(1)
{
  "formula": "Cs2InAsI6",
  "functional": "PBE",
  "state": "optimized geometry",
  "lattice_angstrom": [[0.0000, 6.1235, 6.1235], [6.1235, 0.0000, 6.1235], [6.1235, 6.1235, 0.0000]],
  "species": ["As", "I", "I", "I", "I", "I", "I", "Cs", "Cs", "In"],
  "fractional_positions": [[0.0000, 0.0000, 0.0000], [0.2376, 0.2376, 0.7624], [0.2376, 0.7624, 0.2376], [0.7624, 0.2376, 0.2376], [0.2376, 0.7624, 0.7624], [0.7624, 0.2376, 0.7624], [0.7624, 0.7624, 0.2376], [0.7500, 0.7500, 0.7500], [0.2500, 0.2500, 0.2500], [0.5000, 0.5000, 0.5000]],
  "energy_corrected_mp2020_ev_per_atom": -2.8773,
  "vol_a3_per_atom": 45.92
}

---

(2)
{
  "formula": "Cs2KAsI6",
  "functional": "PBE",
  "state": "optimized geometry",
  "lattice_angstrom": [[1.5900, -3.2931, 8.0987], [-6.7065, -3.1265, 4.9203], [-0.7382, -8.7326, 1.4690]],
  "species": ["I", "I", "I", "I", "I", "I", "As", "Cs", "Cs", "K"],
  "fractional_positions": [[0.7707, 0.7707, 0.2293], [0.2293, 0.7707, 0.2293], [0.2293, 0.7707, 0.7707], [0.7707, 0.2293, 0.2293], [0.7707, 0.2293, 0.7707], [0.2293, 0.2293, 0.7707], [0.0000, 0.0000, 0.0000], [0.2500, 0.2500, 0.2500], [0.7500, 0.7500, 0.7500], [0.5000, 0.5000, 0.5000]],
  "energy_corrected_mp2020_ev_per_atom": -2.8691,
  "vol_a3_per_atom": 49.61
}

---

(3)
{
  "formula": "CsMnAs",
  "functional": "PBE",
  "state": "optimized geometry",
  "lattice_angstrom": [[-0.1940, 3.2140, 2.8459], [-3.0386, -2.1151, 2.1816], [8.4232, -5.3161, 6.5778]],
  "species": ["Cs", "Cs", "Mn", "Mn", "As", "As"],
  "fractional_positions": [[0.5000, 0.0000, 0.7190], [0.0000, 0.5000, 0.2810], [0.0000, 0.0000, 0.0000], [0.5000, 0.5000, 0.0000], [0.0000, 0.5000, 0.8947], [0.5000, 0.0000, 0.1053]],
  "vol_a3_per_atom": 36.74
}

---

(4)
{
  "formula": "CsMnAs",
  "functional": "PBE",
  "state": "optimized geometry",
  "lattice_angstrom": [[-1.0508, 2.9773, 3.2059], [-3.7562, 1.0767, -2.2311], [-4.5027, -6.4172, 4.4839]],
  "species": ["Mn", "Mn", "As", "As", "Cs", "Cs"],
  "fractional_positions": [[0.0000, 0.0000, 0.0000], [0.5000, 0.5000, 0.0000], [0.0000, 0.5000, 0.1476], [0.5000, 0.0000, 0.8524], [0.0000, 0.5000, 0.6601], [0.5000, 0.0000, 0.3399]],
  "vol_a3_per_atom": 30.47
}

---

(5)
{
  "formula": "Cs9Nb2As6",
  "functional": "PBE",
  "state": "optimized geometry",
  "lattice_angstrom": [[0.0000, -17.3017, 0.0000], [-17.9443, 0.0000, 0.0000], [0.0000, 0.0000, -18.4704]],
  "species": ["Cs", "Cs", "Cs", "Cs", "Cs", "Cs", "Cs", "Cs", "Cs", "Cs", "Cs", "Cs", "Cs", "Cs", "Cs", "Cs", "Cs", "Cs", "Cs", "Cs", "Cs", "Cs", "Cs", "Cs", "Cs", "Cs", "Cs", "Cs", "Cs", "Cs", "Cs", "Cs", "Cs", "Cs", "Cs", "Cs", "Cs", "Cs", "Cs", "Cs", "Cs", "Cs", "Cs", "Cs", "Cs", "Cs", "Cs", "Cs", "Cs", "Cs", "Cs", "Cs", "Cs", "Cs", "Cs", "Cs", "Cs", "Cs", "Cs", "Cs", "Cs", "Cs", "Cs", "Cs", "Cs", "Cs", "Cs", "Cs", "Cs", "Cs", "Cs", "Cs", "As", "As", "As", "As", "As", "As", "As", "As", "As", "As", "As", "As", "As", "As", "As", "As", "As", "As", "As", "As", "As", "As", "As", "As", "As", "As", "As", "As", "As", "As", "As", "As", "As", "As", "As", "As", "As", "As", "As", "As", "As", "As", "As", "As", "As", "As", "As", "As", "Nb", "Nb", "Nb", "Nb", "Nb", "Nb", "Nb", "Nb", "Nb", "Nb", "Nb", "Nb", "Nb", "Nb", "Nb", "Nb"],
  "fractional_positions": [[0.4330, 0.4465, 0.1685], [0.9330, 0.0535, 0.1685], [0.9330, 0.5535, 0.3315], [0.9475, 0.7815, 0.4174], [0.0954, 0.1014, 0.0159], [0.9600, 0.2074, 0.3321], [0.5400, 0.7074, 0.6679], [0.5954, 0.3986, 0.0159], [0.9046, 0.3986, 0.5159], [0.7810, 0.0014, 0.6286], [0.0134, 0.5030, 0.8909], [0.9046, 0.8986, 0.9841], [0.7810, 0.5014, 0.8714], [0.4475, 0.7185, 0.4174], [0.7672, 0.2769, 0.8819], [0.0525, 0.2185, 0.5826], [0.7365, 0.7301, 0.3622], [0.7672, 0.7769, 0.6181], [0.2328, 0.7231, 0.1181], [0.2635, 0.2699, 0.6378], [0.2190, 0.9986, 0.3714], [0.4866, 0.5030, 0.3909], [0.5871, 0.5995, 0.1986], [0.4600, 0.2926, 0.3321], [0.5871, 0.0995, 0.3014], [0.4866, 0.0030, 0.1091], [0.4475, 0.2185, 0.0826], [0.2190, 0.4986, 0.1286], [0.2365, 0.7699, 0.3622], [0.5525, 0.7815, 0.9174], [0.2810, 0.4986, 0.6286], [0.5134, 0.4970, 0.6091], [0.9129, 0.0995, 0.8014], [0.7328, 0.2769, 0.3819], [0.4330, 0.9465, 0.3315], [0.0134, 0.0030, 0.6091], [0.0400, 0.7926, 0.6679], [0.4046, 0.1014, 0.5159], [0.2810, 0.9986, 0.8714], [0.0525, 0.7185, 0.9174], [0.0670, 0.4465, 0.6685], [0.4600, 0.7926, 0.1679], [0.0400, 0.2926, 0.8321], [0.4046, 0.6014, 0.9841], [0.5954, 0.8986, 0.4841], [0.9866, 0.4970, 0.1091], [0.4129, 0.9005, 0.6986], [0.7635, 0.7301, 0.8622], [0.7190, 0.0014, 0.1286], [0.2365, 0.2699, 0.1378], [0.9866, 0.9970, 0.3909], [0.5670, 0.0535, 0.6685], [0.9475, 0.2815, 0.0826], [0.0954, 0.6014, 0.4841], [0.2328, 0.2231, 0.3819], [0.0871, 0.4005, 0.3014], [0.0871, 0.9005, 0.1986], [0.7635, 0.2301, 0.6378], [0.5134, 0.9970, 0.8909], [0.9600, 0.7074, 0.1679], [0.7190, 0.5014, 0.3714], [0.5400, 0.2074, 0.8321], [0.2672, 0.2231, 0.8819], [0.5525, 0.2815, 0.5826], [0.0670, 0.9465, 0.8315], [0.5670, 0.5535, 0.8315], [0.7365, 0.2301, 0.1378], [0.9129, 0.5995, 0.6986], [0.4129, 0.4005, 0.8014], [0.2672, 0.7231, 0.6181], [0.7328, 0.7769, 0.1181], [0.2635, 0.7699, 0.8622], [0.7964, 0.9249, 0.4512], [0.8562, 0.1088, 0.9897], [0.3562, 0.3912, 0.9897], [0.3735, 0.1241, 0.2550], [0.2036, 0.5751, 0.9512], [0.7892, 0.5817, 0.1956], [0.1438, 0.8912, 0.0103], [0.6438, 0.1088, 0.4897], [0.2892, 0.4183, 0.3044], [0.7036, 0.9249, 0.9512], [0.6175, 0.6397, 0.4996], [0.1265, 0.6241, 0.7450], [0.1438, 0.3912, 0.4897], [0.8735, 0.8759, 0.2450], [0.8562, 0.6088, 0.5103], [0.7964, 0.4249, 0.0488], [0.3735, 0.6241, 0.2450], [0.2108, 0.9183, 0.6956], [0.6438, 0.6088, 0.0103], [0.1335, 0.1049, 0.2197], [0.3825, 0.8603, 0.9996], [0.3562, 0.8912, 0.5103], [0.2108, 0.4183, 0.8044], [0.8665, 0.8951, 0.7803], [0.1335, 0.6049, 0.2803], [0.1265, 0.1241, 0.7550], [0.3665, 0.6049, 0.7803], [0.2036, 0.0751, 0.5488], [0.3665, 0.1049, 0.7197], [0.8735, 0.3759, 0.2550], [0.8825, 0.6397, 0.9996], [0.6175, 0.1397, 0.0004], [0.7892, 0.0817, 0.3044], [0.3825, 0.3603, 0.5004], [0.1175, 0.8603, 0.4996], [0.6265, 0.3759, 0.7550], [0.1175, 0.3603, 0.0004], [0.7108, 0.5817, 0.6956], [0.6265, 0.8759, 0.7450], [0.7036, 0.4249, 0.5488], [0.6335, 0.3951, 0.2197], [0.2964, 0.5751, 0.4512], [0.2964, 0.0751, 0.0488], [0.2892, 0.9183, 0.1956], [0.7108, 0.0817, 0.8044], [0.8665, 0.3951, 0.7197], [0.6335, 0.8951, 0.2803], [0.8825, 0.1397, 0.5004], [0.7743, 0.0687, 0.4422], [0.2683, 0.5614, 0.3156], [0.7743, 0.5687, 0.0578], [0.2317, 0.0614, 0.6844], [0.2683, 0.0614, 0.1844], [0.7683, 0.4386, 0.1844], [0.2743, 0.4313, 0.4422], [0.7257, 0.0687, 0.9422], [0.7317, 0.9386, 0.8156], [0.2257, 0.9313, 0.5578], [0.2317, 0.5614, 0.8156], [0.7683, 0.9386, 0.3156], [0.2257, 0.4313, 0.9422], [0.7317, 0.4386, 0.6844], [0.2743, 0.9313, 0.0578], [0.7257, 0.5687, 0.5578]],
  "vol_a3_per_atom": 42.17
}

---

(6)
{
  "formula": "CsAsO3",
  "functional": "PBE",
  "state": "optimized geometry",
  "lattice_angstrom": [[5.4608, 0.0000, 0.0000], [0.0000, 5.9370, 0.0000], [0.0000, 0.0000, 12.5946]],
  "species": ["O", "O", "O", "O", "O", "O", "O", "O", "O", "O", "O", "O", "Cs", "Cs", "Cs", "Cs", "As", "As", "As", "As"],
  "fractional_positions": [[0.2500, 0.6059, 0.0617], [0.5000, 0.5473, 0.2500], [0.7500, 0.6059, 0.4383], [0.2500, 0.8419, 0.6611], [0.5000, 0.4527, 0.7500], [0.2500, 0.1581, 0.1611], [0.0000, 0.5473, 0.2500], [0.7500, 0.1581, 0.3389], [0.0000, 0.4527, 0.7500], [0.7500, 0.8419, 0.8389], [0.7500, 0.3941, 0.9383], [0.2500, 0.3941, 0.5617], [0.7500, 0.9152, 0.1016], [0.7500, 0.0848, 0.6016], [0.2500, 0.0848, 0.8984], [0.2500, 0.9152, 0.3984], [0.7500, 0.4395, 0.3317], [0.2500, 0.4395, 0.1683], [0.7500, 0.5605, 0.8317], [0.2500, 0.5605, 0.6683]],
  "energy_corrected_mp2020_ev_per_atom": -5.9731,
  "vol_a3_per_atom": 20.42
}

---

(7)
{
  "formula": "CsAsO3",
  "functional": "PBE",
  "state": "optimized geometry",
  "lattice_angstrom": [[-4.4098, 0.6478, 2.3559], [3.7928, -2.3465, 2.3505], [3.2014, 8.7635, 3.5826]],
  "species": ["Cs", "Cs", "O", "O", "O", "O", "O", "O", "As", "As"],
  "fractional_positions": [[0.0000, 0.0000, 0.2068], [0.0000, 0.0000, 0.7932], [0.6018, 0.6018, 0.6082], [0.3982, 0.3982, 0.3918], [0.6018, 0.0000, 0.3918], [0.0000, 0.3982, 0.6082], [0.0000, 0.6018, 0.3918], [0.3982, 0.0000, 0.6082], [0.3333, 0.6667, 0.5000], [0.6667, 0.3333, 0.5000]],
  "energy_corrected_mp2020_ev_per_atom": -5.8725,
  "vol_a3_per_atom": 22.00
}

---

(8)
{
  "formula": "CsAsO3",
  "functional": "PBE",
  "state": "optimized geometry",
  "lattice_angstrom": [[4.0756, 0.0000, 0.0000], [0.0000, 4.0756, 0.0000], [0.0000, 0.0000, 4.0756]],
  "species": ["O", "O", "O", "As", "Cs"],
  "fractional_positions": [[0.5000, 0.0000, 0.5000], [0.0000, 0.5000, 0.5000], [0.5000, 0.5000, 0.0000], [0.5000, 0.5000, 0.5000], [0.0000, 0.0000, 0.0000]],
  "energy_corrected_mp2020_ev_per_atom": -5.2104,
  "vol_a3_per_atom": 13.54
}

---

| no. | formation enthalpy at 0 K (eV per atom) | total DFT energy (no corrections) (eV per atom) |
| --- | --- | --- |
| 1 | -1.04 | -2.650 |
| 2 | -1.20 | -2.642 |
| 3 | -0.24 | -5.149 |
| 4 | -0.20 | -5.105 |
| 5 | -0.44 | -3.744 |
| 6 | -1.89 | -5.561 |
| 7 | -1.79 | -5.460 |
| 8 | -1.13 | -4.798 |